[1]
Entry from the Materials Project database: an optimized crystal structure of CaSm8Se12 (GGA-PBE).

Formation energy from the elements, kJ/mol of formula units: -4302
Crystal system: monoclinic
Energy, eV/atom: -5.74
E (MP2020), eV for the cell shown: -505.18

Cell lengths 12.5223, 12.5431, 14.6806 Å; angles 90.00, 115.22, 90.00 degrees
With the nearest neighbours (Å) after each atom.
Space group Cc (No. 9)
One atom of each set of equivalent atoms:
Ca 0.0000 0.0625 0.0000 x4  8 Se 2.99-3.20
Sm 0.0412 0.1865 0.3327 x4  8 Se 2.95-3.17
Sm 0.0620 0.1246 0.7497 x4  8 Se 2.98-3.18
Sm 0.1668 0.4371 0.8346 x4  8 Se 2.96-3.17
Sm 0.2097 0.3133 0.1668 x4  8 Se 2.98-3.18
Sm 0.2298 0.3764 0.5833 x4  8 Se 2.96-3.17
Sm 0.3326 0.0616 0.6661 x4  8 Se 2.96-3.16
Sm 0.3736 0.1893 0.0001 x4  8 Se 2.97-3.18
Sm 0.3951 0.1259 0.4161 x4  8 Se 2.95-3.17
Se 0.0032 0.4258 0.3829 x4  6 Sm 2.98-3.17
Se 0.0471 0.4994 0.6169 x4  6 Sm 2.97-3.18
Se 0.0886 0.1787 0.5501 x4  5 Sm 2.96-3.16, 1 Ca 3.20
Se 0.1121 0.2501 0.9497 x4  5 Sm 2.98-3.15, 1 Ca 2.99
Se 0.1712 0.0744 0.2170 x4  5 Sm 2.97-3.17, 1 Ca 2.99
Se 0.2164 0.0012 0.4509 x4  5 Sm 2.95-3.18, 1 Ca 3.19
Se 0.2511 0.3223 0.3819 x4  5 Sm 2.95-3.17, 1 Ca 3.19
Se 0.2789 0.2494 0.7844 x4  6 Sm 2.97-3.17
Se 0.3370 0.4252 0.0496 x4  5 Sm 2.96-3.15, 1 Ca 2.99
Se 0.3787 0.5001 0.2828 x4  5 Sm 2.98-3.16, 1 Ca 2.99
Se 0.4211 0.1751 0.2163 x4  6 Sm 2.98-3.15
Se 0.4448 0.2478 0.6187 x4  5 Sm 2.96-3.18, 1 Ca 3.19

=====

[2]
Entry from the Materials Project database: an optimized crystal structure of CaU2Se5 (GGA-PBE).

Formation energy from the elements, kJ/mol of formula units: -1190
Crystal system: orthorhombic
Energy, eV/atom: -6.50
E (MP2020), eV for the cell shown: -217.60

Cell lengths 12.5568, 8.1261, 7.6521 Å; angles 90.00, 90.00, 90.00 degrees
With the nearest neighbours (Å) after each atom.
Space group Pnma (No. 62)
One atom of each set of equivalent atoms:
Ca 0.0067 0.2500 0.0772 x4  7 Se 2.81-3.05
U 0.1805 0.0011 0.5086 x8  8 Se 2.80-3.13
Se 0.0026 0.2500 0.4760 x4  4 U 3.02-3.08, 1 Ca 3.05, 1 Se 3.38
Se 0.1130 0.5440 0.1628 x8  2 U 2.80-2.87, 2 Ca 2.81-2.90
Se 0.1838 0.2500 0.8200 x4  1 Ca 2.97, 4 U 3.02-3.13, 2 Se 3.28
Se 0.2121 0.7500 0.7910 x4  1 Ca 2.93, 4 U 2.95-3.00

=====

[3]
Entry from the Materials Project database: an optimized crystal structure of CaZnSe2 (GGA-PBE).

Formation energy from the elements, kJ/mol of formula units: -541
Crystal system: tetragonal
Energy, eV/atom: -3.73
E (MP2020), eV for the cell shown: -15.86

Cell lengths 4.2862, 4.2862, 6.3838 Å; angles 90.00, 90.00, 90.00 degrees
With the nearest neighbours (Å) after each atom.
Space group P-4m2 (No. 115)
One atom of each set of equivalent atoms:
Ca 0.0000 0.0000 0.0000 x1  4 Se 2.83
Zn 0.5000 0.5000 0.5000 x1  4 Se 2.53
Se 0.0000 0.5000 0.7110 x2  2 Zn 2.53, 2 Ca 2.83